A plane-wave DFT calculation with PBE-GGA was carried out for a relaxed structure of Na3TbP2O8.

abc: 5.340 13.974 18.600
angles: 90.00 90.00 90.00
Fractional coordinates of all 112 atoms:
O 0.261 0.750 0.618
Na 0.992 0.282 0.492
P 0.971 0.024 0.481
P 0.993 0.223 0.653
O 0.574 0.692 0.351
O 0.995 0.002 0.399
Na 0.008 0.452 0.649
P 0.462 0.773 0.397
Na 0.537 0.969 0.888
Tb 0.930 0.889 0.304
O 0.995 0.498 0.899
O 0.047 0.115 0.648
O 0.472 0.497 0.644
P 0.007 0.777 0.153
Tb 0.446 0.138 0.573
Tb 0.070 0.389 0.304
O 0.301 0.972 0.763
O 0.312 0.541 0.500
O 0.920 0.058 0.026
O 0.688 0.459 0.000
O 0.426 0.192 0.351
Na 0.480 0.703 0.229
O 0.536 0.634 0.731
P 0.993 0.277 0.153
Na 0.003 0.361 0.828
O 0.791 0.723 0.112
O 0.467 0.750 0.479
Na 0.992 0.548 0.149
O 0.008 0.746 0.233
O 0.384 0.133 0.886
O 0.533 0.250 0.979
O 0.699 0.472 0.763
O 0.472 0.003 0.144
O 0.877 0.882 0.994
O 0.953 0.615 0.648
P 0.481 0.526 0.725
Na 0.500 0.888 0.549
O 0.992 0.246 0.233
Tb 0.070 0.111 0.804
Na 0.997 0.861 0.828
Tb 0.554 0.862 0.073
O 0.123 0.118 0.494
P 0.519 0.474 0.225
O 0.008 0.754 0.733
P 0.007 0.723 0.653
O 0.464 0.366 0.231
O 0.209 0.223 0.112
O 0.080 0.558 0.026
O 0.384 0.367 0.386
Na 0.992 0.218 0.992
O 0.528 0.997 0.644
O 0.181 0.709 0.875
O 0.005 0.502 0.399
O 0.877 0.618 0.494
O 0.261 0.750 0.118
Na 0.997 0.639 0.328
O 0.953 0.885 0.148
Na 0.003 0.139 0.328
O 0.312 0.959 0.000
O 0.699 0.028 0.263
Na 0.500 0.112 0.049
Na 0.500 0.388 0.549
Na 0.008 0.782 0.492
O 0.616 0.867 0.386
P 0.029 0.524 0.481
P 0.538 0.273 0.397
O 0.229 0.001 0.262
Na 0.520 0.297 0.729
P 0.538 0.227 0.897
O 0.209 0.277 0.612
O 0.992 0.254 0.733
P 0.519 0.026 0.725
Tb 0.554 0.638 0.573
O 0.688 0.041 0.500
Tb 0.930 0.611 0.804
O 0.467 0.750 0.979
Na 0.537 0.531 0.388
Na 0.008 0.048 0.149
O 0.616 0.633 0.886
P 0.481 0.974 0.225
O 0.819 0.209 0.875
O 0.080 0.942 0.526
O 0.771 0.999 0.762
P 0.462 0.727 0.897
O 0.533 0.250 0.479
Na 0.463 0.469 0.888
Na 0.463 0.031 0.388
O 0.123 0.382 0.994
O 0.819 0.291 0.375
Na 0.992 0.952 0.649
Tb 0.446 0.362 0.073
O 0.229 0.499 0.762
O 0.791 0.777 0.612
O 0.574 0.808 0.851
O 0.181 0.791 0.375
O 0.920 0.442 0.526
O 0.426 0.308 0.851
O 0.301 0.528 0.263
O 0.739 0.250 0.618
P 0.971 0.476 0.981
O 0.739 0.250 0.118
O 0.047 0.385 0.148
Na 0.500 0.612 0.049
O 0.464 0.134 0.731
Na 0.008 0.718 0.992
O 0.528 0.503 0.144
Na 0.520 0.203 0.229
Na 0.480 0.797 0.729
O 0.536 0.866 0.231
O 0.771 0.501 0.262
O 0.005 0.998 0.899
P 0.029 0.976 0.981

Calculated values
* mass density: 4.0 Mg/m³
* ΔH_f (0 K): -2.9518 eV per atom
* space group: Pca2_1 (29)